[1]
VASP calculation (PBE-GGA) on LiH6IO7 after structural relaxation.

Lattice parameters (Å, degrees): 5.761 5.875 9.783 102.93 94.80 114.50
Space group P-1 (No. 2)
One atom of each set of equivalent atoms:
Li1 0.242 0.227 0.008 [2 per cell]
H1 0.039 0.725 0.142 [2 per cell]
H2 0.052 0.712 0.729 [2 per cell]
H3 0.120 0.871 0.433 [2 per cell]
H4 0.224 0.785 0.983 [2 per cell]
H5 0.282 0.506 0.587 [2 per cell]
H6 0.428 0.773 0.268 [2 per cell]
I1 0.389 0.326 0.283 [2 per cell]
O1 0.066 0.214 0.226 [2 per cell]
O2 0.100 0.835 0.046 [2 per cell]
O3 0.208 0.338 0.459 [2 per cell]
O4 0.267 0.567 0.677 [2 per cell]
O5 0.302 0.963 0.354 [2 per cell]
O6 0.433 0.670 0.896 [2 per cell]
O7 0.497 0.689 0.198 [2 per cell]

Properties
As for the total magnetization: 0.044 μB per atom. The value obtained for the calculated volume is 287.8 Å³ per cell. As for the formation energy from the elements: -0.35 eV/atom. The value obtained for the energy above the most stable polymorph in this dataset is 872 meV/atom.

[2]
VASP calculation (PBE-GGA) on Ce2Si3Pt3 after structural relaxation.

Lattice parameters (Å, degrees): 2.735 2.735 21.070 90.00 90.00 90.00
Space group P4/mmm (No. 123)
One atom of each set of equivalent atoms:
Ce1 0.000 0.000 0.246 [2 per cell]
Si1 0.000 0.000 0.000 [1 per cell]
Si2 0.000 0.000 0.388 [2 per cell]
Pt1 0.000 0.000 0.112 [2 per cell]
Pt2 0.000 0.000 0.500 [1 per cell]

Properties
As for the total magnetization: 0.002 μB per atom. The value obtained for the calculated volume is 157.6 Å³ per cell. As for the formation energy from the elements: 0.21 eV/atom.

[3]
VASP calculation (PBE-GGA) on CdH8C4Br2N8 after structural relaxation.

Lattice parameters (Å, degrees): 4.125 8.844 17.749 90.00 94.17 90.00
Space group P2_1/c (No. 14)
One atom of each set of equivalent atoms:
Cd1 0.000 0.000 0.000 [2 per cell]
H1 0.191 0.196 0.633 [4 per cell]
H2 0.194 0.717 0.235 [4 per cell]
H3 0.358 0.038 0.590 [4 per cell]
H4 0.375 0.695 0.150 [4 per cell]
C1 0.004 0.507 0.313 [4 per cell]
C2 0.194 0.501 0.194 [4 per cell]
Br1 0.500 0.219 0.973 [4 per cell]
N1 0.043 0.064 0.751 [4 per cell]
N2 0.052 0.061 0.128 [4 per cell]
N3 0.250 0.084 0.634 [4 per cell]
N4 0.290 0.646 0.197 [4 per cell]

Properties
As for the total magnetization: 0.000 μB per atom. The value obtained for the calculated volume is 645.8 Å³ per cell. As for the formation energy from the elements: -0.34 eV/atom.

[4]
VASP calculation (PBE-GGA) on Zr5Ge3N9 after structural relaxation.

Lattice parameters (Å, degrees): 9.084 10.314 20.775 90.00 90.00 90.00
Space group Cmce (No. 64)
One atom of each set of equivalent atoms:
Zr1 0.000 0.049 0.136 [8 per cell]
Zr2 0.000 0.067 0.656 [8 per cell]
Zr3 0.180 0.236 0.396 [16 per cell]
Zr4 0.211 0.000 0.500 [8 per cell]
Ge1 0.000 0.220 0.278 [8 per cell]
Ge2 0.000 0.241 0.543 [8 per cell]
Ge3 0.250 0.004 0.250 [8 per cell]
N1 0.000 0.151 0.847 [8 per cell]
N2 0.000 0.163 0.460 [8 per cell]
N3 0.000 0.236 0.190 [8 per cell]
N4 0.151 0.117 0.059 [16 per cell]
N5 0.155 0.114 0.314 [16 per cell]
N6 0.157 0.118 0.584 [16 per cell]

Properties
As for the total magnetization: 0.000 μB per atom. The value obtained for the calculated volume is 1946.4 Å³ per cell. As for the formation energy from the elements: -0.87 eV/atom.

[5]
VASP calculation (PBE-GGA) on Mg7Co after structural relaxation.

Lattice parameters (Å, degrees): 6.1613 6.1613 4.9048 90.00 90.00 120.00
Space group P-6m2 (No. 187)
One atom of each set of equivalent atoms:
Mg1 0.0000 0.0000 0.0000 [1 per cell]
Mg2 0.0207 0.5103 0.0000 [3 per cell]
Mg3 0.3339 0.1669 0.5000 [3 per cell]
Co1 0.3333 0.6667 0.5000 [1 per cell]

Properties
As for the total magnetization: 0.140 μB per atom. The value obtained for the calculated volume is 161.2 Å³ per cell. As for the formation energy from the elements: 0.12 eV/atom.

[6]
VASP calculation (PBE-GGA) on BeH4N2 after structural relaxation.

Lattice parameters (Å, degrees): 10.335 10.335 16.261 90.00 90.00 90.00
Space group I4_1/acd (No. 142, origin choice 2)
One atom of each set of equivalent atoms:
Be1 0.068 0.127 0.311 [32 per cell]
H1 0.005 0.003 0.586 [32 per cell]
H2 0.040 0.184 0.537 [32 per cell]
H3 0.113 0.011 0.844 [32 per cell]
H4 0.198 0.047 0.211 [32 per cell]
N1 0.000 0.250 0.252 [16 per cell]
N2 0.049 0.065 0.877 [32 per cell]
N3 0.136 0.000 0.250 [16 per cell]

Properties
The value obtained for the calculated volume is 1736.7 Å³ per cell. As for the formation energy from the elements: -0.67 eV/atom.

[7]
VASP calculation (PBE-GGA) on TlV12S16 after structural relaxation.

Lattice parameters (Å, degrees): 3.268 9.113 15.813 90.10 90.01 90.00
Space group P-1 (No. 2)
One atom of each set of equivalent atoms:
Tl1 0.000 0.000 0.000 [1 per cell]
V1 0.249 0.125 0.754 [2 per cell]
V2 0.250 0.071 0.560 [2 per cell]
V3 0.250 0.306 0.186 [2 per cell]
V4 0.250 0.569 0.060 [2 per cell]
V5 0.250 0.624 0.256 [2 per cell]
V6 0.250 0.805 0.684 [2 per cell]
S1 0.250 0.000 0.334 [2 per cell]
S2 0.250 0.301 0.648 [2 per cell]
S3 0.250 0.377 0.326 [2 per cell]
S4 0.250 0.500 0.833 [2 per cell]
S5 0.250 0.823 0.525 [2 per cell]
S6 0.253 0.322 0.025 [2 per cell]
S7 0.253 0.801 0.149 [2 per cell]
S8 0.253 0.876 0.826 [2 per cell]

Properties
The value obtained for the calculated volume is 470.9 Å³ per cell. As for the formation energy from the elements: -1.25 eV/atom. The value obtained for the energy above the most stable polymorph in this dataset is 8 meV/atom.

[8]
VASP calculation (PBE-GGA) on PdCNCl2O after structural relaxation.

Lattice parameters (Å, degrees): 4.244 9.020 14.826 90.00 96.70 90.00
Space group P2_1/c (No. 14)
One atom of each set of equivalent atoms:
Pd1 0.194 0.103 0.041 [4 per cell]
C1 0.001 0.085 0.906 [4 per cell]
N1 0.023 0.014 0.651 [4 per cell]
Cl1 0.421 0.160 0.184 [4 per cell]
Cl2 0.494 0.199 0.504 [4 per cell]
O1 0.002 0.148 0.838 [4 per cell]

Properties
As for the total magnetization: 0.501 μB per atom. The value obtained for the calculated volume is 563.6 Å³ per cell. As for the formation energy from the elements: 0.48 eV/atom.

[9]
VASP calculation (PBE-GGA) on NaEuNb2O6 after structural relaxation.

Lattice parameters (Å, degrees): 8.107 8.107 8.107 90.00 90.00 90.00
Space group Fm-3m (No. 225)
One atom of each set of equivalent atoms:
Na1 0.000 0.000 0.000 [4 per cell]
Eu1 0.000 0.000 0.500 [4 per cell]
Nb1 0.250 0.250 0.250 [8 per cell]
O1 0.000 0.250 0.250 [24 per cell]

Properties
As for the total magnetization: 0.665 μB per atom. The value obtained for the calculated volume is 532.8 Å³ per cell. As for the formation energy from the elements: -3.01 eV/atom.